A relaxed structure of K2Be3Zn2F12. Source: the Materials Project database, functional PBE.

Properties
Energy of formation from the pure elements, eV per atom: -3.173

a = 10.1277 Å, b = 10.1277 Å, c = 10.1277 Å
α = 90.00°, β = 90.00°, γ = 90.00°
With the nearest neighbours (Å) after each atom.
Space group P2_13 (No. 198)
One atom of each set of equivalent atoms:
K 0.0629 0.0629 0.0629 (multiplicity 4)  12 F 2.92-3.26
K 0.2015 0.7015 0.7985 (multiplicity 4)  6 F 2.82-3.03
Be 0.0371 0.7288 0.1267 (multiplicity 12)  4 F 1.55-1.57
Zn 0.0844 0.9156 0.4156 (multiplicity 4)  6 F 2.04-2.06
Zn 0.1509 0.3491 0.6509 (multiplicity 4)  6 F 2.06-2.08
F 0.0002 0.0835 0.3433 (multiplicity 12)  1 Be 1.55
F 0.0159 0.8095 0.2563 (multiplicity 12)  1 Be 1.56
F 0.0241 0.9429 0.7973 (multiplicity 12)  1 Be 1.57
F 0.0744 0.1822 0.7378 (multiplicity 12)  1 Be 1.57



A relaxed structure of Li2BeF4. Source: the Materials Project database, functional PBE.

Properties
Energy of formation from the pure elements, eV per atom: -3.364

a = 13.5315 Å, b = 13.5315 Å, c = 9.0487 Å
α = 90.00°, β = 90.00°, γ = 120.00°
With the nearest neighbours (Å) after each atom.
Space group R-3 (No. 148, hexagonal axes)
One atom of each set of equivalent atoms:
Li 0.0149 0.2070 0.0849 (multiplicity 18)  4 F 1.89-1.91
Li 0.0204 0.2142 0.4186 (multiplicity 18)  4 F 1.89-1.93
Be 0.0143 0.2105 0.7506 (multiplicity 18)  4 F 1.57-1.58
F 0.0053 0.3216 0.7506 (multiplicity 18)  1 Be 1.57
F 0.0739 0.2032 0.8953 (multiplicity 18)  1 Be 1.57
F 0.0804 0.2078 0.6085 (multiplicity 18)  1 Be 1.58
F 0.1050 0.2156 0.2514 (multiplicity 18)  1 Be 1.57



A relaxed structure of LiBeNF4. Source: the Materials Project database, functional PBE.

Properties
Energy of formation from the pure elements, eV per atom: -2.072

a = 8.8685 Å, b = 9.4901 Å, c = 5.9658 Å
α = 90.00°, β = 90.00°, γ = 90.00°
With the nearest neighbours (Å) after each atom.
Space group Pna2_1 (No. 33)
One atom of each set of equivalent atoms:
Li 0.1583 0.0945 0.0000 (multiplicity 4)  3 F 1.83-1.85
Be 0.1884 0.8837 0.3471 (multiplicity 4)  3 F 1.47-1.48
N 0.0603 0.6677 0.9501 (multiplicity 4)  1 F 1.35
F 0.0363 0.9334 0.4103 (multiplicity 4)  1 Be 1.48
F 0.1851 0.6201 0.0544 (multiplicity 4)  1 N 1.35
F 0.2365 0.2722 0.9782 (multiplicity 4)  1 Be 1.47
F 0.2435 0.4481 0.6449 (multiplicity 4)  1 Be 1.48



A relaxed structure of Na3LiBe2F8. Source: the Materials Project database, functional PBE.

Properties
Energy of formation from the pure elements, eV per atom: -3.285

a = 6.5996 Å, b = 9.8478 Å, c = 10.0571 Å
α = 90.00°, β = 93.76°, γ = 90.00°
With the nearest neighbours (Å) after each atom.
Space group P2_1/c (No. 14)
One atom of each set of equivalent atoms:
Na 0.1439 0.1101 0.4208 (multiplicity 4)  5 F 2.31-2.34
Na 0.1447 0.7170 0.3672 (multiplicity 4)  6 F 2.33-2.47
Na 0.3332 0.0770 0.1078 (multiplicity 4)  6 F 2.34-2.42
Li 0.4522 0.1240 0.6992 (multiplicity 4)  4 F 1.91-1.95
Be 0.1228 0.0821 0.8382 (multiplicity 4)  4 F 1.55-1.58
Be 0.3968 0.6625 0.0890 (multiplicity 4)  4 F 1.56-1.58
F 0.0393 0.0221 0.2150 (multiplicity 4)  1 Be 1.55
F 0.0615 0.1649 0.9603 (multiplicity 4)  1 Be 1.55
F 0.1757 0.1836 0.7233 (multiplicity 4)  1 Be 1.58
F 0.1957 0.5961 0.0294 (multiplicity 4)  1 Be 1.56
F 0.3231 0.0016 0.8832 (multiplicity 4)  1 Be 1.58
F 0.3534 0.7223 0.6904 (multiplicity 4)  1 Be 1.57
F 0.4580 0.0557 0.3384 (multiplicity 4)  1 Be 1.57
F 0.4904 0.2208 0.5330 (multiplicity 4)  1 Be 1.58



A relaxed structure of Na2LiBe2F7. Source: the Materials Project database, functional PBE.

Properties
Largest piezoelectric modulus, C/m2: 1.53
Energy of formation from the pure elements, eV per atom: -3.332

a = 7.6986 Å, b = 7.6986 Å, c = 4.8964 Å
α = 90.00°, β = 90.00°, γ = 90.00°
With the nearest neighbours (Å) after each atom.
Space group P-42_1m (No. 113)
One atom of each set of equivalent atoms:
Na 0.1678 0.3322 0.4950 (multiplicity 4)  6 F 2.38-2.67
Li 0.0000 0.0000 0.0000 (multiplicity 2)  4 F 1.87
Be 0.1405 0.6405 0.9293 (multiplicity 4)  4 F 1.53-1.62
F 0.0000 0.5000 0.8186 (multiplicity 2)  2 Be 1.62
F 0.0832 0.8137 0.7929 (multiplicity 8)  1 Be 1.56
F 0.1422 0.6422 0.2409 (multiplicity 4)  1 Be 1.53



A relaxed structure of NaLiBeF4. Source: the Materials Project database, functional PBE.

Properties
Energy of formation from the pure elements, eV per atom: -3.313

a = 10.9563 Å, b = 6.2848 Å, c = 4.6779 Å
α = 90.00°, β = 90.00°, γ = 90.00°
With the nearest neighbours (Å) after each atom.
Space group Pnma (No. 62)
One atom of each set of equivalent atoms:
Na 0.2233 0.2500 0.0229 (multiplicity 4)  6 F 2.26-2.46
Li 0.0000 0.0000 0.5000 (multiplicity 4)  6 F 2.04-2.17
Be 0.0811 0.7500 0.0955 (multiplicity 4)  4 F 1.55-1.59
F 0.0489 0.2500 0.7533 (multiplicity 4)  1 Be 1.59
F 0.0772 0.7500 0.7649 (multiplicity 4)  1 Be 1.55
F 0.1460 0.5490 0.2237 (multiplicity 8)  1 Be 1.57



A relaxed structure of RbLi2Be2F7. Source: the Materials Project database, functional PBE.

Properties
Energy of formation from the pure elements, eV per atom: -3.393

a = 12.5856 Å, b = 5.0245 Å, c = 10.1963 Å
α = 90.00°, β = 90.19°, γ = 90.00°
With the nearest neighbours (Å) after each atom.
Space group P2_1/c (No. 14)
One atom of each set of equivalent atoms:
Rb 0.2501 0.2329 0.1403 (multiplicity 4)  8 F 2.96-3.29
Li 0.0007 0.2071 0.3479 (multiplicity 4)  4 F 1.87-1.91
Li 0.4990 0.2099 0.3504 (multiplicity 4)  4 F 1.87-1.91
Be 0.1322 0.7139 0.4027 (multiplicity 4)  4 F 1.54-1.61
Be 0.3659 0.7248 0.3990 (multiplicity 4)  4 F 1.54-1.61
F 0.0481 0.6436 0.8133 (multiplicity 4)  1 Be 1.57
F 0.1204 0.6972 0.0468 (multiplicity 4)  1 Be 1.54
F 0.1218 0.0919 0.8895 (multiplicity 4)  1 Be 1.55
F 0.2478 0.6999 0.8503 (multiplicity 4)  2 Be 1.61
F 0.3796 0.0805 0.8896 (multiplicity 4)  1 Be 1.55
F 0.3816 0.6761 0.0411 (multiplicity 4)  1 Be 1.54
F 0.4446 0.6298 0.8041 (multiplicity 4)  1 Be 1.57



A relaxed structure of RbLuBeF6. Source: the Materials Project database, functional PBE.

Properties
Energy of formation from the pure elements, eV per atom: -3.897

a = 6.5004 Å, b = 5.7802 Å, c = 7.0920 Å
α = 90.00°, β = 113.72°, γ = 90.00°
With the nearest neighbours (Å) after each atom.
Space group P2_1/m (No. 11)
One atom of each set of equivalent atoms:
Rb 0.0762 0.2500 0.2083 (multiplicity 2)  10 F 2.83-3.16
Lu 0.3923 0.2500 0.8218 (multiplicity 2)  8 F 2.20-2.40
Be 0.2355 0.7500 0.4646 (multiplicity 2)  4 F 1.54-1.59
F 0.0048 0.7500 0.2667 (multiplicity 2)  1 Be 1.59
F 0.2408 0.5305 0.5988 (multiplicity 4)  1 Be 1.58
F 0.3296 0.5005 0.0325 (multiplicity 4)  2 Lu 2.22-2.23, 1 F 2.44
F 0.4341 0.7500 0.3987 (multiplicity 2)  1 Be 1.54